# 1
{"formula": "PdAu3", "functional": "PBE", "state": "relaxed", "space_group": "No. 194", "e_form_mev_per_atom": -69, "mass_density_g_cm3": 16.6, "crystal_system": "hexagonal", "total_energy_ev_per_cell": -30.6, "cell": [[5.777, 0.000, 0.000], [-2.889, 5.003, 0.000], [0.000, 0.000, 4.821]], "species": ["Pd", "Pd", "Au", "Au", "Au", "Au", "Au", "Au"], "frac_coords": [[0.333, 0.667, 0.250], [0.667, 0.333, 0.750], [0.168, 0.336, 0.750], [0.168, 0.832, 0.750], [0.336, 0.168, 0.250], [0.664, 0.832, 0.750], [0.832, 0.168, 0.250], [0.832, 0.664, 0.250]]}

# 2
{"formula": "FeBi4S7", "functional": "PBE", "state": "relaxed", "space_group": "No. 12", "e_form_mev_per_atom": -544, "mass_density_g_cm3": 6.6, "crystal_system": "monoclinic", "total_energy_ev_per_cell": -56.0, "cell": [[6.278, -1.951, 0.000], [6.278, 1.951, 0.000], [-3.004, 0.000, 11.536]], "species": ["Fe", "Bi", "Bi", "Bi", "Bi", "S", "S", "S", "S", "S", "S", "S"], "frac_coords": [[0.000, 0.000, 0.000], [0.119, 0.119, 0.417], [0.318, 0.318, 0.163], [0.682, 0.682, 0.837], [0.881, 0.881, 0.583], [0.029, 0.029, 0.820], [0.251, 0.251, 0.643], [0.375, 0.375, 0.961], [0.500, 0.500, 0.500], [0.625, 0.625, 0.039], [0.749, 0.749, 0.357], [0.971, 0.971, 0.180]]}

# 3
{"formula": "YO3", "functional": "PBE", "state": "relaxed", "space_group": "No. 62", "e_form_mev_per_atom": -2019, "mass_density_g_cm3": 4.5, "crystal_system": "orthorhombic", "total_energy_ev_per_cell": -109.3, "cell": [[6.385, 0.000, 0.000], [0.000, 7.001, 0.000], [0.000, 0.000, 4.516]], "species": ["Y", "Y", "Y", "Y", "O", "O", "O", "O", "O", "O", "O", "O", "O", "O", "O", "O"], "frac_coords": [[0.112, 0.250, 0.071], [0.388, 0.750, 0.571], [0.612, 0.250, 0.429], [0.888, 0.750, 0.929], [0.014, 0.750, 0.424], [0.191, 0.543, 0.864], [0.191, 0.957, 0.864], [0.309, 0.043, 0.364], [0.309, 0.457, 0.364], [0.486, 0.250, 0.924], [0.514, 0.750, 0.076], [0.691, 0.543, 0.636], [0.691, 0.957, 0.636], [0.809, 0.043, 0.136], [0.809, 0.457, 0.136], [0.986, 0.250, 0.576]]}

# 4
{"formula": "HoNi5", "functional": "PBE", "state": "relaxed", "space_group": "No. 191", "e_form_mev_per_atom": -333, "mass_density_g_cm3": 9.5, "crystal_system": "hexagonal", "total_energy_ev_per_cell": -35.5, "cell": [[4.851, 0.000, 0.000], [-2.426, 4.201, 0.000], [0.000, 0.000, 3.951]], "species": ["Ho", "Ni", "Ni", "Ni", "Ni", "Ni"], "frac_coords": [[0.000, 0.000, 0.000], [0.000, 0.500, 0.500], [0.333, 0.667, 0.000], [0.500, 0.000, 0.500], [0.500, 0.500, 0.500], [0.667, 0.333, 0.000]]}

# 5
{"formula": "Ca2SnS4", "functional": "PBE", "state": "relaxed", "space_group": "No. 65", "e_form_mev_per_atom": -1660, "mass_density_g_cm3": 3.0, "e_above_lowest_polymorph_mev_per_atom": 19, "crystal_system": "orthorhombic", "total_energy_ev_per_cell": -34.2, "cell": [[4.099, -5.700, 0.000], [4.099, 5.700, 0.000], [0.000, 0.000, 3.871]], "species": ["Ca", "Ca", "Sn", "S", "S", "S", "S"], "frac_coords": [[0.000, 0.500, 0.000], [0.500, 0.000, 0.000], [0.000, 0.000, 0.500], [0.218, 0.218, 0.000], [0.230, 0.770, 0.500], [0.770, 0.230, 0.500], [0.782, 0.782, 0.000]]}

# 6
{"formula": "LiO2", "functional": "PBE", "state": "relaxed", "space_group": "No. 12", "e_form_mev_per_atom": -809, "mass_density_g_cm3": 2.4, "e_above_lowest_polymorph_mev_per_atom": 234, "crystal_system": "monoclinic", "total_energy_ev_per_cell": -25.7, "cell": [[3.000, -2.937, 0.000], [3.000, 2.937, 0.000], [-2.723, 0.000, 3.120]], "species": ["Li", "Li", "O", "O", "O", "O"], "frac_coords": [[0.248, 0.752, 0.000], [0.752, 0.248, 0.000], [0.290, 0.710, 0.500], [0.291, 0.291, 0.492], [0.709, 0.709, 0.508], [0.710, 0.290, 0.500]]}

# 7
{"formula": "Zn7H10C2O16", "functional": "PBE", "state": "relaxed", "space_group": "No. 15", "e_form_mev_per_atom": -1573, "mass_density_g_cm3": 3.7, "crystal_system": "monoclinic", "total_energy_ev_per_cell": -368.9, "cell": [[7.606, -2.765, 0.000], [7.606, 2.765, 0.000], [-1.634, 0.000, 16.120]], "species": ["Zn", "Zn", "Zn", "Zn", "Zn", "Zn", "Zn", "Zn", "Zn", "Zn", "Zn", "Zn", "Zn", "Zn", "H", "H", "H", "H", "H", "H", "H", "H", "H", "H", "H", "H", "H", "H", "H", "H", "H", "H", "H", "H", "C", "C", "C", "C", "O", "O", "O", "O", "O", "O", "O", "O", "O", "O", "O", "O", "O", "O", "O", "O", "O", "O", "O", "O", "O", "O", "O", "O", "O", "O", "O", "O", "O", "O", "O", "O"], "frac_coords": [[0.027, 0.575, 0.814], [0.039, 0.525, 0.410], [0.104, 0.615, 0.038], [0.219, 0.781, 0.750], [0.385, 0.896, 0.462], [0.425, 0.973, 0.686], [0.475, 0.961, 0.090], [0.525, 0.039, 0.910], [0.575, 0.027, 0.314], [0.615, 0.104, 0.538], [0.781, 0.219, 0.250], [0.896, 0.385, 0.962], [0.961, 0.475, 0.590], [0.973, 0.425, 0.186], [0.025, 0.782, 0.285], [0.075, 0.089, 0.072], [0.089, 0.075, 0.572], [0.129, 0.202, 0.831], [0.202, 0.129, 0.331], [0.210, 0.543, 0.555], [0.218, 0.975, 0.215], [0.287, 0.383, 0.687], [0.383, 0.287, 0.187], [0.457, 0.790, 0.945], [0.543, 0.210, 0.055], [0.617, 0.713, 0.813], [0.713, 0.617, 0.313], [0.782, 0.025, 0.785], [0.790, 0.457, 0.445], [0.798, 0.871, 0.669], [0.871, 0.798, 0.169], [0.911, 0.925, 0.428], [0.925, 0.911, 0.928], [0.975, 0.218, 0.715], [0.392, 0.563, 0.375], [0.437, 0.608, 0.125], [0.563, 0.392, 0.875], [0.608, 0.437, 0.625], [0.074, 0.211, 0.068], [0.075, 0.137, 0.245], [0.129, 0.292, 0.880], [0.137, 0.075, 0.745], [0.188, 0.364, 0.701], [0.211, 0.074, 0.568], [0.232, 0.416, 0.526], [0.237, 0.747, 0.074], [0.253, 0.763, 0.426], [0.292, 0.129, 0.380], [0.318, 0.469, 0.351], [0.364, 0.188, 0.201], [0.398, 0.538, 0.652], [0.416, 0.232, 0.026], [0.462, 0.602, 0.848], [0.469, 0.318, 0.851], [0.531, 0.682, 0.149], [0.538, 0.398, 0.152], [0.584, 0.768, 0.974], [0.602, 0.462, 0.348], [0.636, 0.812, 0.799], [0.682, 0.531, 0.649], [0.708, 0.871, 0.620], [0.747, 0.237, 0.574], [0.763, 0.253, 0.926], [0.768, 0.584, 0.474], [0.789, 0.926, 0.432], [0.812, 0.636, 0.299], [0.863, 0.925, 0.255], [0.871, 0.708, 0.120], [0.925, 0.863, 0.755], [0.926, 0.789, 0.932]]}

# 8
{"formula": "RbFeI4", "functional": "PBE", "state": "relaxed", "space_group": "No. 14", "e_form_mev_per_atom": -902, "mass_density_g_cm3": 3.9, "crystal_system": "monoclinic", "total_energy_ev_per_cell": -77.8, "cell": [[7.443, 0.000, 0.000], [0.000, 18.366, 0.000], [-2.409, 0.000, 8.147]], "species": ["Rb", "Rb", "Rb", "Rb", "Fe", "Fe", "Fe", "Fe", "I", "I", "I", "I", "I", "I", "I", "I", "I", "I", "I", "I", "I", "I", "I", "I"], "frac_coords": [[0.189, 0.131, 0.291], [0.189, 0.369, 0.791], [0.811, 0.631, 0.209], [0.811, 0.869, 0.709], [0.184, 0.628, 0.797], [0.184, 0.872, 0.297], [0.816, 0.128, 0.703], [0.816, 0.372, 0.203], [0.172, 0.155, 0.790], [0.172, 0.345, 0.290], [0.268, 0.553, 0.574], [0.268, 0.947, 0.074], [0.270, 0.552, 0.064], [0.270, 0.948, 0.564], [0.355, 0.749, 0.856], [0.355, 0.751, 0.356], [0.645, 0.249, 0.644], [0.645, 0.251, 0.144], [0.730, 0.052, 0.436], [0.730, 0.448, 0.936], [0.732, 0.053, 0.926], [0.732, 0.447, 0.426], [0.828, 0.655, 0.710], [0.828, 0.845, 0.210]]}

# 9
{"formula": "K2CeNb5O15", "functional": "PBE", "state": "relaxed", "space_group": "No. 127", "e_form_mev_per_atom": -3087, "mass_density_g_cm3": 4.7, "crystal_system": "tetragonal", "total_energy_ev_per_cell": -387.2, "cell": [[12.785, 0.000, 0.000], [0.000, 12.785, 0.000], [0.000, 0.000, 3.971]], "species": ["K", "K", "K", "K", "Ce", "Ce", "Nb", "Nb", "Nb", "Nb", "Nb", "Nb", "Nb", "Nb", "Nb", "Nb", "O", "O", "O", "O", "O", "O", "O", "O", "O", "O", "O", "O", "O", "O", "O", "O", "O", "O", "O", "O", "O", "O", "O", "O", "O", "O", "O", "O", "O", "O"], "frac_coords": [[0.171, 0.329, 0.000], [0.329, 0.829, 0.000], [0.671, 0.171, 0.000], [0.829, 0.671, 0.000], [0.000, 0.000, 0.000], [0.500, 0.500, 0.000], [0.000, 0.500, 0.500], [0.076, 0.786, 0.500], [0.214, 0.076, 0.500], [0.286, 0.576, 0.500], [0.424, 0.286, 0.500], [0.500, 0.000, 0.500], [0.576, 0.714, 0.500], [0.714, 0.424, 0.500], [0.786, 0.924, 0.500], [0.924, 0.214, 0.500], [0.000, 0.500, 0.000], [0.002, 0.342, 0.500], [0.060, 0.131, 0.500], [0.076, 0.810, 0.000], [0.131, 0.940, 0.500], [0.158, 0.498, 0.500], [0.190, 0.076, 0.000], [0.216, 0.716, 0.500], [0.284, 0.216, 0.500], [0.310, 0.576, 0.000], [0.342, 0.998, 0.500], [0.369, 0.440, 0.500], [0.424, 0.310, 0.000], [0.440, 0.631, 0.500], [0.498, 0.842, 0.500], [0.500, 0.000, 0.000], [0.502, 0.158, 0.500], [0.560, 0.369, 0.500], [0.576, 0.690, 0.000], [0.631, 0.560, 0.500], [0.658, 0.002, 0.500], [0.690, 0.424, 0.000], [0.716, 0.784, 0.500], [0.784, 0.284, 0.500], [0.810, 0.924, 0.000], [0.842, 0.502, 0.500], [0.869, 0.060, 0.500], [0.924, 0.190, 0.000], [0.940, 0.869, 0.500], [0.998, 0.658, 0.500]]}

# 10
{"formula": "KMnN", "functional": "PBE", "state": "relaxed", "space_group": "No. 62", "e_form_mev_per_atom": -189, "mass_density_g_cm3": 2.9, "e_above_lowest_polymorph_mev_per_atom": 0, "crystal_system": "orthorhombic", "total_energy_ev_per_cell": -75.3, "cell": [[10.126, 0.000, 0.000], [0.000, 3.603, 0.000], [0.000, 0.000, 6.715]], "species": ["K", "K", "K", "K", "Mn", "Mn", "Mn", "Mn", "N", "N", "N", "N"], "frac_coords": [[0.179, 0.250, 0.052], [0.321, 0.750, 0.552], [0.679, 0.250, 0.448], [0.821, 0.750, 0.948], [0.027, 0.250, 0.606], [0.473, 0.750, 0.106], [0.527, 0.250, 0.894], [0.973, 0.750, 0.394], [0.041, 0.750, 0.658], [0.459, 0.250, 0.158], [0.541, 0.750, 0.842], [0.959, 0.250, 0.342]]}

# 11
{"formula": "Na2In2GeS6", "functional": "PBE", "state": "relaxed", "space_group": "No. 9", "e_form_mev_per_atom": -1019, "mass_density_g_cm3": 3.1, "crystal_system": "monoclinic", "total_energy_ev_per_cell": -91.6, "cell": [[6.196, -3.977, 0.000], [6.196, 3.977, 0.000], [-3.984, 0.000, 11.809]], "species": ["Na", "Na", "Na", "Na", "In", "In", "In", "In", "Ge", "Ge", "S", "S", "S", "S", "S", "S", "S", "S", "S", "S", "S", "S"], "frac_coords": [[0.074, 0.926, 0.500], [0.532, 0.906, 0.157], [0.906, 0.532, 0.657], [0.926, 0.074, 0.000], [0.287, 0.417, 0.003], [0.417, 0.287, 0.503], [0.456, 0.613, 0.807], [0.613, 0.456, 0.307], [0.068, 0.512, 0.252], [0.512, 0.068, 0.752], [0.212, 0.215, 0.808], [0.215, 0.212, 0.308], [0.222, 0.607, 0.621], [0.252, 0.707, 0.301], [0.293, 0.738, 0.977], [0.468, 0.968, 0.564], [0.607, 0.222, 0.121], [0.698, 0.792, 0.834], [0.707, 0.252, 0.801], [0.738, 0.293, 0.477], [0.792, 0.698, 0.334], [0.968, 0.468, 0.064]]}

# 12
{"formula": "NdZnPO", "functional": "PBE", "state": "relaxed", "space_group": "No. 166", "e_form_mev_per_atom": -1997, "mass_density_g_cm3": 5.9, "crystal_system": "trigonal", "total_energy_ev_per_cell": -47.4, "cell": [[2.001, 1.155, 10.408], [-2.001, 1.155, 10.408], [0.000, -2.311, 10.408]], "species": ["Nd", "Nd", "Zn", "Zn", "P", "P", "O", "O"], "frac_coords": [[0.119, 0.119, 0.119], [0.881, 0.881, 0.881], [0.304, 0.304, 0.304], [0.696, 0.696, 0.696], [0.386, 0.386, 0.386], [0.614, 0.614, 0.614], [0.195, 0.195, 0.195], [0.805, 0.805, 0.805]]}

# 13
{"formula": "Tb4Co10Si", "functional": "PBE", "state": "relaxed", "space_group": "No. 141", "e_form_mev_per_atom": 457, "mass_density_g_cm3": 8.5, "crystal_system": "tetragonal", "total_energy_ev_per_cell": -176.5, "cell": [[-6.261, 6.261, 3.119], [6.261, -6.261, 3.119], [6.261, 6.261, -3.119]], "species": ["Tb", "Tb", "Tb", "Tb", "Tb", "Tb", "Tb", "Tb", "Co", "Co", "Co", "Co", "Co", "Co", "Co", "Co", "Co", "Co", "Co", "Co", "Co", "Co", "Co", "Co", "Co", "Co", "Co", "Co", "Si", "Si"], "frac_coords": [[0.262, 0.671, 0.591], [0.329, 0.420, 0.591], [0.329, 0.738, 0.909], [0.420, 0.329, 0.091], [0.580, 0.671, 0.909], [0.671, 0.262, 0.091], [0.671, 0.580, 0.409], [0.738, 0.329, 0.409], [0.000, 0.000, 0.000], [0.000, 0.000, 0.500], [0.000, 0.500, 0.000], [0.133, 0.523, 0.285], [0.133, 0.847, 0.610], [0.153, 0.262, 0.285], [0.153, 0.867, 0.890], [0.262, 0.153, 0.785], [0.262, 0.477, 0.110], [0.477, 0.262, 0.610], [0.477, 0.867, 0.215], [0.500, 0.000, 0.500], [0.523, 0.133, 0.785], [0.523, 0.738, 0.390], [0.738, 0.523, 0.890], [0.738, 0.847, 0.215], [0.847, 0.133, 0.110], [0.847, 0.738, 0.715], [0.867, 0.153, 0.390], [0.867, 0.477, 0.715], [0.125, 0.875, 0.250], [0.875, 0.125, 0.750]]}

# 14
{"formula": "Cs2NaMnC6N6", "functional": "PBE", "state": "relaxed", "space_group": "No. 14", "e_form_mev_per_atom": -257, "mass_density_g_cm3": 2.5, "crystal_system": "monoclinic", "total_energy_ev_per_cell": -239.2, "cell": [[7.639, 0.000, 0.000], [0.000, 7.915, 0.000], [-7.600, 0.000, 11.042]], "species": ["Cs", "Cs", "Cs", "Cs", "Na", "Na", "Mn", "Mn", "C", "C", "C", "C", "C", "C", "C", "C", "C", "C", "C", "C", "N", "N", "N", "N", "N", "N", "N", "N", "N", "N", "N", "N"], "frac_coords": [[0.239, 0.050, 0.250], [0.239, 0.450, 0.750], [0.761, 0.550, 0.250], [0.761, 0.950, 0.750], [0.000, 0.000, 0.500], [0.000, 0.500, 0.000], [0.500, 0.000, 0.000], [0.500, 0.500, 0.500], [0.269, 0.143, 0.977], [0.269, 0.357, 0.477], [0.332, 0.705, 0.473], [0.332, 0.795, 0.973], [0.371, 0.010, 0.825], [0.371, 0.490, 0.325], [0.629, 0.510, 0.675], [0.629, 0.990, 0.175], [0.668, 0.205, 0.027], [0.668, 0.295, 0.527], [0.731, 0.643, 0.523], [0.731, 0.857, 0.023], [0.130, 0.228, 0.963], [0.130, 0.272, 0.463], [0.232, 0.673, 0.957], [0.232, 0.827, 0.457], [0.295, 0.019, 0.720], [0.295, 0.481, 0.220], [0.705, 0.519, 0.780], [0.705, 0.981, 0.280], [0.768, 0.173, 0.543], [0.768, 0.327, 0.043], [0.870, 0.728, 0.537], [0.870, 0.772, 0.037]]}